No. 1
! KMg3, relaxed, DFT PBE-GGA; values from VASP
! total moment = 0.0 μB per cell
! SG = No. 225
! formation energy = 0.232 eV per atom
&SYSTEM
  ibrav = 0, nat = 16, ntyp = 2
/
ATOMIC_SPECIES
K 39.10 K.upf
Mg 24.30 Mg.upf
ATOMIC_POSITIONS crystal
K 0.000 0.000 0.000
K 0.000 0.500 0.500
K 0.500 0.000 0.500
K 0.500 0.500 0.000
Mg 0.000 0.000 0.500
Mg 0.000 0.500 0.000
Mg 0.250 0.250 0.250
Mg 0.250 0.250 0.750
Mg 0.250 0.750 0.250
Mg 0.250 0.750 0.750
Mg 0.500 0.000 0.000
Mg 0.500 0.500 0.500
Mg 0.750 0.250 0.250
Mg 0.750 0.250 0.750
Mg 0.750 0.750 0.250
Mg 0.750 0.750 0.750
CELL_PARAMETERS angstrom
7.815 0.000 0.000
0.000 7.815 0.000
0.000 0.000 7.815



No. 2
! K3Mg, relaxed, DFT PBE-GGA; values from VASP
! total moment = 0.0 μB per cell
! SG = No. 194
! formation energy = 0.152 eV per atom
&SYSTEM
  ibrav = 0, nat = 8, ntyp = 2
/
ATOMIC_SPECIES
K 39.10 K.upf
Mg 24.30 Mg.upf
ATOMIC_POSITIONS crystal
K 0.175 0.350 0.250
K 0.175 0.825 0.250
K 0.350 0.175 0.750
K 0.650 0.825 0.250
K 0.825 0.175 0.750
K 0.825 0.650 0.750
Mg 0.333 0.667 0.750
Mg 0.667 0.333 0.250
CELL_PARAMETERS angstrom
8.636 0.000 0.000
-4.318 7.479 0.000
0.000 0.000 6.816



No. 3
! KMg3, relaxed, DFT PBE-GGA; values from VASP
! total moment = 0.0 μB per cell
! SG = No. 139
! formation energy = 0.235 eV per atom
&SYSTEM
  ibrav = 0, nat = 8, ntyp = 2
/
ATOMIC_SPECIES
K 39.10 K.upf
Mg 24.30 Mg.upf
ATOMIC_POSITIONS crystal
K 0.000 0.000 0.000
K 0.500 0.500 0.500
Mg 0.000 0.000 0.500
Mg 0.000 0.500 0.250
Mg 0.000 0.500 0.750
Mg 0.500 0.000 0.250
Mg 0.500 0.000 0.750
Mg 0.500 0.500 0.000
CELL_PARAMETERS angstrom
5.302 0.000 0.000
0.000 5.302 0.000
0.000 0.000 8.497



No. 4
! KMg14Mn, relaxed, DFT PBE-GGA; values from VASP
! total moment = 0.0 μB per cell
! SG = No. 187
! formation energy = 0.251 eV per atom
! ΔE to the lowest computed polymorph = 1.38 eV/f.u.
&SYSTEM
  ibrav = 0, nat = 16, ntyp = 3
/
ATOMIC_SPECIES
K 39.10 K.upf
Mg 24.30 Mg.upf
Mn 54.94 Mn.upf
ATOMIC_POSITIONS crystal
K 0.000 0.000 0.000
Mg 0.010 0.505 0.000
Mg 0.163 0.326 0.275
Mg 0.163 0.326 0.725
Mg 0.163 0.837 0.275
Mg 0.163 0.837 0.725
Mg 0.495 0.505 0.000
Mg 0.495 0.990 0.000
Mg 0.504 0.008 0.500
Mg 0.504 0.496 0.500
Mg 0.667 0.333 0.243
Mg 0.667 0.333 0.757
Mg 0.674 0.837 0.275
Mg 0.674 0.837 0.725
Mg 0.992 0.496 0.500
Mn 0.000 0.000 0.500
CELL_PARAMETERS angstrom
6.468 0.000 0.000
-3.234 5.602 0.000
0.000 0.000 10.198



No. 5
! KMg14Mn, relaxed, DFT PBE-GGA; values from VASP
! total moment = 3.8 μB per cell
! SG = No. 38
! formation energy = 0.165 eV per atom
! ΔE to the lowest computed polymorph = 0.00 eV/f.u.
&SYSTEM
  ibrav = 0, nat = 16, ntyp = 3
/
ATOMIC_SPECIES
K 39.10 K.upf
Mg 24.30 Mg.upf
Mn 54.94 Mn.upf
ATOMIC_POSITIONS crystal
K 0.000 0.000 0.000
Mg 0.000 0.006 0.497
Mg 0.000 0.497 0.006
Mg 0.241 0.663 0.663
Mg 0.256 0.176 0.654
Mg 0.256 0.654 0.176
Mg 0.263 0.170 0.170
Mg 0.500 0.500 0.500
Mg 0.500 0.501 0.998
Mg 0.500 0.998 0.501
Mg 0.500 0.998 0.998
Mg 0.737 0.170 0.170
Mg 0.744 0.176 0.654
Mg 0.744 0.654 0.176
Mg 0.759 0.663 0.663
Mn 0.000 0.496 0.496
CELL_PARAMETERS angstrom
10.416 0.000 0.000
0.000 3.249 5.608
0.000 -3.249 5.608



No. 6
! KMg6Mn, relaxed, DFT PBE-GGA; values from VASP
! total moment = 7.5 μB per cell
! formation energy = 0.331 eV per atom
! ΔE to the lowest computed polymorph = 0.07 eV/f.u.
&SYSTEM
  ibrav = 0, nat = 16, ntyp = 3
/
ATOMIC_SPECIES
Mg 24.30 Mg.upf
Mn 54.94 Mn.upf
K 39.10 K.upf
ATOMIC_POSITIONS crystal
Mg 0.500 0.500 0.669
Mg 0.000 0.226 0.070
Mg 0.000 0.726 0.570
Mg 0.000 0.274 0.570
Mg 0.000 0.500 0.836
Mg 0.500 0.276 0.409
Mg 0.500 0.776 0.909
Mg 0.000 0.774 0.070
Mg 0.500 0.724 0.409
Mg 0.000 0.000 0.336
Mg 0.500 0.000 0.169
Mg 0.500 0.224 0.909
Mn 0.000 0.500 0.371
Mn 0.000 0.000 0.871
K 0.500 0.500 0.166
K 0.500 0.000 0.666
CELL_PARAMETERS angstrom
-4.779 0.327 1.671
0.427 -6.102 2.417
3.800 4.242 10.039



No. 7
! KMg6Mn, relaxed, DFT PBE-GGA; values from VASP
! total moment = 8.2 μB per cell
! formation energy = 0.322 eV per atom
! ΔE to the lowest computed polymorph = 0.00 eV/f.u.
&SYSTEM
  ibrav = 0, nat = 16, ntyp = 3
/
ATOMIC_SPECIES
Mg 24.30 Mg.upf
Mn 54.94 Mn.upf
K 39.10 K.upf
ATOMIC_POSITIONS crystal
Mg 0.500 0.747 0.581
Mg 0.500 0.247 0.081
Mg 0.500 0.753 0.081
Mg 0.000 0.726 0.419
Mg 0.000 0.274 0.419
Mg 0.000 0.774 0.919
Mg 0.000 0.226 0.919
Mg 0.000 0.000 0.156
Mg 0.000 0.500 0.656
Mg 0.000 0.500 0.172
Mg 0.000 0.000 0.672
Mg 0.500 0.253 0.581
Mn 0.500 0.500 0.338
Mn 0.500 0.000 0.838
K 0.500 0.000 0.334
K 0.500 0.500 0.834
CELL_PARAMETERS angstrom
5.221 0.000 0.000
0.000 6.769 0.000
0.000 0.000 11.438



No. 8
! KMgN, relaxed, DFT PBE-GGA; values from VASP
! total moment = 0.0 μB per cell
! SG = No. 187
! formation energy = -0.212 eV per atom
&SYSTEM
  ibrav = 0, nat = 3, ntyp = 3
/
ATOMIC_SPECIES
K 39.10 K.upf
Mg 24.30 Mg.upf
N 14.01 N.upf
ATOMIC_POSITIONS crystal
K 0.000 0.000 0.000
Mg 0.667 0.333 0.500
N 0.333 0.667 0.500
CELL_PARAMETERS angstrom
3.607 0.000 0.000
-1.804 3.124 0.000
0.000 0.000 5.020



No. 9
! KMgN, relaxed, DFT PBE-GGA; values from VASP
! total moment = 0.0 μB per cell
! SG = No. 62
! formation energy = -0.235 eV per atom
&SYSTEM
  ibrav = 0, nat = 12, ntyp = 3
/
ATOMIC_SPECIES
K 39.10 K.upf
Mg 24.30 Mg.upf
N 14.01 N.upf
ATOMIC_POSITIONS crystal
K 0.160 0.250 0.053
K 0.340 0.750 0.553
K 0.660 0.250 0.447
K 0.840 0.750 0.947
Mg 0.044 0.250 0.606
Mg 0.456 0.750 0.106
Mg 0.544 0.250 0.894
Mg 0.956 0.750 0.394
N 0.064 0.750 0.676
N 0.436 0.250 0.176
N 0.564 0.750 0.824
N 0.936 0.250 0.324
CELL_PARAMETERS angstrom
10.254 0.000 0.000
0.000 3.908 0.000
0.000 0.000 6.702



No. 10
! KNaMg6, relaxed, DFT PBE-GGA; values from VASP
! total moment = 0.0 μB per cell
! formation energy = 0.183 eV per atom
! ΔE to the lowest computed polymorph = 0.04 eV/f.u.
&SYSTEM
  ibrav = 0, nat = 16, ntyp = 3
/
ATOMIC_SPECIES
Mg 24.30 Mg.upf
Na 22.99 Na.upf
K 39.10 K.upf
ATOMIC_POSITIONS crystal
Mg 0.500 0.770 0.424
Mg 0.500 0.000 0.167
Mg 0.500 0.230 0.424
Mg 0.500 0.730 0.924
Mg 0.000 0.500 0.835
Mg 0.000 0.743 0.579
Mg 0.000 0.757 0.079
Mg 0.500 0.270 0.924
Mg 0.000 0.000 0.335
Mg 0.500 0.500 0.667
Mg 0.000 0.257 0.579
Mg 0.000 0.243 0.079
Na 0.500 0.000 0.662
Na 0.500 0.500 0.162
K 0.000 0.000 0.829
K 0.000 0.500 0.329
CELL_PARAMETERS angstrom
5.384 0.000 0.000
0.000 6.925 0.000
0.000 0.000 11.882



No. 11
! KNaMg6, relaxed, DFT PBE-GGA; values from VASP
! total moment = 0.0 μB per cell
! formation energy = 0.178 eV per atom
! ΔE to the lowest computed polymorph = 0.00 eV/f.u.
&SYSTEM
  ibrav = 0, nat = 16, ntyp = 3
/
ATOMIC_SPECIES
Na 22.99 Na.upf
Mg 24.30 Mg.upf
K 39.10 K.upf
ATOMIC_POSITIONS crystal
Na 0.500 0.000 0.672
Na 0.500 0.500 0.172
Mg 0.000 0.500 0.846
Mg 0.000 0.744 0.062
Mg 0.000 0.756 0.562
Mg 0.500 0.750 0.923
Mg 0.000 0.000 0.834
Mg 0.500 0.250 0.923
Mg 0.000 0.000 0.346
Mg 0.500 0.250 0.423
Mg 0.000 0.500 0.334
Mg 0.000 0.256 0.062
Mg 0.500 0.750 0.423
Mg 0.000 0.244 0.562
K 0.500 0.000 0.177
K 0.500 0.500 0.677
CELL_PARAMETERS angstrom
5.466 0.000 0.000
0.000 6.458 0.000
0.000 0.000 12.696



No. 12
! K2Na2Sm2MgNb2O10, relaxed, DFT PBE-GGA; values from VASP
! total moment = 0.0 μB per cell
! SG = No. 6
! formation energy = -2.691 eV per atom
! ΔE to the lowest computed polymorph = 0.16 eV/f.u.
&SYSTEM
  ibrav = 0, nat = 19, ntyp = 6
/
ATOMIC_SPECIES
K 39.10 K.upf
Na 22.99 Na.upf
Sm 150.36 Sm.upf
Mg 24.30 Mg.upf
Nb 92.91 Nb.upf
O 16.00 O.upf
ATOMIC_POSITIONS crystal
K 0.000 0.000 0.000
K 0.427 0.500 0.092
Na 0.300 0.000 0.352
Na 0.946 0.500 0.849
Sm 0.426 0.500 0.590
Sm 0.938 0.000 0.610
Mg 0.721 0.000 0.267
Nb 0.469 0.000 0.838
Nb 0.906 0.500 0.348
O 0.124 0.277 0.474
O 0.124 0.723 0.474
O 0.226 0.230 0.786
O 0.226 0.770 0.786
O 0.520 0.000 0.059
O 0.644 0.266 0.405
O 0.644 0.734 0.405
O 0.679 0.230 0.753
O 0.679 0.770 0.753
O 0.942 0.500 0.136
CELL_PARAMETERS angstrom
5.874 0.000 0.000
0.000 5.730 0.000
-0.760 0.000 8.695



No. 13
! K2Na2Sm2MgNb2O10, relaxed, DFT PBE-GGA; values from VASP
! total moment = 0.0 μB per cell
! SG = No. 8
! formation energy = -2.699 eV per atom
! ΔE to the lowest computed polymorph = 0.00 eV/f.u.
&SYSTEM
  ibrav = 0, nat = 19, ntyp = 6
/
ATOMIC_SPECIES
K 39.10 K.upf
Na 22.99 Na.upf
Sm 150.36 Sm.upf
Mg 24.30 Mg.upf
Nb 92.91 Nb.upf
O 16.00 O.upf
ATOMIC_POSITIONS crystal
K 0.191 0.809 0.000
K 0.809 0.191 0.000
Na 0.271 0.271 0.325
Na 0.832 0.832 0.723
Sm 0.352 0.786 0.526
Sm 0.786 0.352 0.526
Mg 0.558 0.558 0.141
Nb 0.322 0.322 0.776
Nb 0.854 0.854 0.338
O 0.048 0.048 0.473
O 0.050 0.601 0.379
O 0.091 0.091 0.806
O 0.105 0.526 0.689
O 0.395 0.395 0.982
O 0.526 0.105 0.689
O 0.558 0.558 0.677
O 0.561 0.561 0.354
O 0.601 0.050 0.379
O 0.789 0.789 0.113
CELL_PARAMETERS angstrom
4.028 -4.301 0.000
4.028 4.301 0.000
-0.047 0.000 9.014



No. 14
! K2Na2Sm2MgNb2O10, relaxed, DFT PBE-GGA; values from VASP
! total moment = 0.0 μB per cell
! SG = No. 99
! formation energy = -2.671 eV per atom
! ΔE to the lowest computed polymorph = 0.54 eV/f.u.
&SYSTEM
  ibrav = 0, nat = 19, ntyp = 6
/
ATOMIC_SPECIES
K 39.10 K.upf
Na 22.99 Na.upf
Sm 150.36 Sm.upf
Mg 24.30 Mg.upf
Nb 92.91 Nb.upf
O 16.00 O.upf
ATOMIC_POSITIONS crystal
K 0.000 0.500 0.000
K 0.500 0.000 0.000
Na 0.000 0.000 0.207
Na 0.500 0.500 0.820
Sm 0.000 0.500 0.580
Sm 0.500 0.000 0.580
Mg 0.000 0.000 0.457
Nb 0.000 0.000 0.772
Nb 0.500 0.500 0.335
O 0.000 0.000 0.984
O 0.245 0.245 0.731
O 0.245 0.755 0.731
O 0.260 0.260 0.403
O 0.260 0.740 0.403
O 0.500 0.500 0.135
O 0.740 0.260 0.403
O 0.740 0.740 0.403
O 0.755 0.245 0.731
O 0.755 0.755 0.731
CELL_PARAMETERS angstrom
5.648 0.000 0.000
0.000 5.648 0.000
0.000 0.000 9.390



No. 15
! KNaMg14O15, relaxed, DFT PBE-GGA; values from VASP
! total moment = 0.0 μB per cell
! SG = No. 25
! formation energy = -2.709 eV per atom
! ΔE to the lowest computed polymorph = 0.00 eV/f.u.
&SYSTEM
  ibrav = 0, nat = 31, ntyp = 4
/
ATOMIC_SPECIES
K 39.10 K.upf
Na 22.99 Na.upf
Mg 24.30 Mg.upf
O 16.00 O.upf
ATOMIC_POSITIONS crystal
K 0.000 0.000 0.000
Na 0.000 0.500 0.557
Mg 0.000 0.000 0.537
Mg 0.000 0.250 0.303
Mg 0.000 0.281 0.812
Mg 0.000 0.500 0.066
Mg 0.000 0.719 0.812
Mg 0.000 0.750 0.303
Mg 0.500 0.000 0.296
Mg 0.500 0.000 0.808
Mg 0.500 0.250 0.562
Mg 0.500 0.255 0.064
Mg 0.500 0.500 0.316
Mg 0.500 0.500 0.810
Mg 0.500 0.745 0.064
Mg 0.500 0.750 0.562
O 0.000 0.000 0.309
O 0.000 0.224 0.580
O 0.000 0.270 0.056
O 0.000 0.500 0.302
O 0.000 0.500 0.821
O 0.000 0.730 0.056
O 0.000 0.776 0.580
O 0.500 0.000 0.055
O 0.500 0.000 0.571
O 0.500 0.239 0.814
O 0.500 0.248 0.313
O 0.500 0.500 0.058
O 0.500 0.500 0.567
O 0.500 0.752 0.313
O 0.500 0.761 0.814
CELL_PARAMETERS angstrom
4.417 0.000 0.000
0.000 8.795 0.000
0.000 0.000 8.475



No. 16
! KNaMg14O15, relaxed, DFT PBE-GGA; values from VASP
! total moment = 0.0 μB per cell
! SG = No. 25
! formation energy = -2.696 eV per atom
! ΔE to the lowest computed polymorph = 0.40 eV/f.u.
&SYSTEM
  ibrav = 0, nat = 31, ntyp = 4
/
ATOMIC_SPECIES
K 39.10 K.upf
Na 22.99 Na.upf
Mg 24.30 Mg.upf
O 16.00 O.upf
ATOMIC_POSITIONS crystal
K 0.000 0.000 0.000
Na 0.000 0.500 0.486
Mg 0.000 0.000 0.490
Mg 0.000 0.225 0.732
Mg 0.000 0.250 0.257
Mg 0.000 0.500 0.010
Mg 0.000 0.750 0.257
Mg 0.000 0.775 0.732
Mg 0.500 0.000 0.246
Mg 0.500 0.000 0.735
Mg 0.500 0.252 0.493
Mg 0.500 0.252 0.979
Mg 0.500 0.500 0.244
Mg 0.500 0.500 0.740
Mg 0.500 0.748 0.493
Mg 0.500 0.748 0.979
O 0.000 0.000 0.267
O 0.000 0.000 0.717
O 0.000 0.243 0.496
O 0.000 0.284 0.954
O 0.000 0.500 0.234
O 0.000 0.716 0.954
O 0.000 0.757 0.496
O 0.500 0.000 0.492
O 0.500 0.000 0.971
O 0.500 0.251 0.237
O 0.500 0.259 0.733
O 0.500 0.500 0.503
O 0.500 0.500 0.980
O 0.500 0.741 0.733
O 0.500 0.749 0.237
CELL_PARAMETERS angstrom
4.433 0.000 0.000
0.000 8.654 0.000
0.000 0.000 8.748



No. 17
! KNaMg14O15, relaxed, DFT PBE-GGA; values from VASP
! total moment = 0.0 μB per cell
! SG = No. 25
! formation energy = -2.662 eV per atom
! ΔE to the lowest computed polymorph = 1.46 eV/f.u.
&SYSTEM
  ibrav = 0, nat = 31, ntyp = 4
/
ATOMIC_SPECIES
K 39.10 K.upf
Na 22.99 Na.upf
Mg 24.30 Mg.upf
O 16.00 O.upf
ATOMIC_POSITIONS crystal
K 0.000 0.000 0.000
Na 0.000 0.500 0.995
Mg 0.000 0.000 0.489
Mg 0.000 0.224 0.742
Mg 0.000 0.254 0.231
Mg 0.000 0.500 0.471
Mg 0.000 0.746 0.231
Mg 0.000 0.776 0.742
Mg 0.500 0.000 0.240
Mg 0.500 0.000 0.737
Mg 0.500 0.253 0.489
Mg 0.500 0.253 0.981
Mg 0.500 0.500 0.221
Mg 0.500 0.500 0.745
Mg 0.500 0.747 0.489
Mg 0.500 0.747 0.981
O 0.000 0.000 0.268
O 0.000 0.000 0.713
O 0.000 0.265 0.972
O 0.000 0.266 0.501
O 0.000 0.500 0.248
O 0.000 0.734 0.501
O 0.000 0.735 0.972
O 0.500 0.000 0.491
O 0.500 0.000 0.974
O 0.500 0.253 0.237
O 0.500 0.258 0.734
O 0.500 0.500 0.505
O 0.500 0.500 0.976
O 0.500 0.742 0.734
O 0.500 0.747 0.237
CELL_PARAMETERS angstrom
4.411 0.000 0.000
0.000 8.779 0.000
0.000 0.000 8.643